LiFePO4 | r2SCAN | relaxed

```
56
Lattice="6.4061 0.0000 0.0000 0.0000 6.7401 0.0000 0.0000 0.0000 14.1430" Properties=species:S:1:pos:R:3 pbc="T T T"
Li 1.5456 1.4103 2.9648
Li 4.7486 1.4103 4.1068
Li 4.7486 1.9597 11.1783
Li 1.5456 1.9597 10.0363
Li 1.6575 4.7804 2.9648
Li 4.8605 4.7804 4.1068
Li 1.6575 5.3298 10.0363
Li 4.8605 5.3298 11.1783
Fe 2.8820 1.1405 7.2403
Fe 6.0850 1.1405 13.9743
Fe 2.8820 2.2296 0.1688
Fe 6.0850 2.2296 6.9027
Fe 0.3211 4.5105 7.2403
Fe 3.5241 4.5105 13.9743
Fe 0.3211 5.5997 0.1688
Fe 3.5241 5.5997 6.9027
P 5.7406 0.2005 8.9263
P 2.5376 0.2005 12.2883
P 5.7406 3.1696 1.8547
P 2.5376 3.1696 5.2168
P 3.8685 3.5705 8.9263
P 0.6655 3.5705 12.2883
P 3.8685 6.5396 1.8547
P 0.6655 6.5396 5.2168
O 4.8681 6.5074 0.6262
O 1.6650 6.5074 6.4453
O 1.8420 0.2886 10.9627
O 5.0450 0.2886 10.2518
O 3.0616 1.1040 1.7568
O 6.2647 1.1040 5.3148
O 0.2534 1.4197 8.6542
O 3.4564 1.4197 12.5604
O 0.2534 1.9504 1.5826
O 3.4564 1.9504 5.4889
O 3.0616 2.2661 8.8283
O 6.2647 2.2661 12.3863
O 5.0450 3.0815 3.1803
O 1.8420 3.0815 3.8912
O 4.8681 3.6028 7.6977
O 1.6650 3.6028 13.5168
O 1.5380 3.1373 6.4453
O 4.7411 3.1373 0.6262
O 4.5641 3.6586 10.2518
O 1.3611 3.6586 10.9627
O 0.1414 4.4740 1.7568
O 3.3444 4.4740 5.3148
O 2.9496 4.7898 8.6542
O 6.1527 4.7898 12.5604
O 2.9496 5.3204 1.5826
O 6.1527 5.3204 5.4889
O 0.1414 5.6362 8.8283
O 3.3444 5.6362 12.3863
O 4.5641 6.4515 3.1803
O 1.3611 6.4515 3.8912
O 4.7411 0.2327 7.6977
O 1.5380 0.2327 13.5168
```

Computed properties:
Energy of formation from the pure elements = -2194 meV per atom
Energy = -520.43 eV for the cell shown
M_tot = 32.00 μB per cell